[1]
# GdSnPd | the Materials Project database | PBE | relaxed
data_GdSnPd
_cell_length_a 7.2997
_cell_length_b 4.6352
_cell_length_c 8.0660
_cell_angle_alpha 90.00
_cell_angle_beta 90.00
_cell_angle_gamma 90.00
_symmetry_space_group_name_H-M 'P n m a'
_symmetry_Int_Tables_number 62
loop_
_symmetry_equiv_pos_as_xyz
'x,y,z'
'-x,-y,-z'
'-x+1/2,-y,z+1/2'
'x+1/2,y,-z+1/2'
'x+1/2,-y+1/2,-z+1/2'
'-x+1/2,y+1/2,z+1/2'
'-x,y+1/2,-z'
'x,-y+1/2,z'
loop_
_atom_site_label
_atom_site_type_symbol
_atom_site_fract_x
_atom_site_fract_y
_atom_site_fract_z
_atom_site_occupancy
Gd1 Gd 0.0102 0.2500 0.2006 1
Sn1 Sn 0.1840 0.2500 0.5825 1
Pd1 Pd 0.2130 0.7500 0.4084 1
# - theoretical density (g/cm3) = 9.3
# - ΔH_f (0 K) (eV/atom) = -0.919

---

[2]
# Ge3Bi4O12 | the Materials Project database | PBE | relaxed
data_Ge3Bi4O12
_cell_length_a 10.6630
_cell_length_b 10.6630
_cell_length_c 10.6630
_cell_angle_alpha 90.00
_cell_angle_beta 90.00
_cell_angle_gamma 90.00
_symmetry_space_group_name_H-M 'I -4 3 d'
_symmetry_Int_Tables_number 220
_symmetry_space_group_name_Hall 'I -4bd 2c 3'
loop_
_atom_site_label
_atom_site_type_symbol
_atom_site_fract_x
_atom_site_fract_y
_atom_site_fract_z
_atom_site_occupancy
Ge1 Ge 0.0000 0.2500 0.8750 1
Bi1 Bi 0.0868 0.4132 0.5868 1
O1 O 0.0404 0.3748 0.1800 1
# - theoretical density (g/cm3) = 6.8
# - ΔH_f (0 K) (eV/atom) = -1.931
# - MP2020-corrected energy (eV/atom) = -6.605

---

[3]
# Ba4Sn3O10 | the Materials Project database | PBE | relaxed
data_Ba4Sn3O10
_cell_length_a 6.0528
_cell_length_b 13.6065
_cell_length_c 14.0896
_cell_angle_alpha 90.00
_cell_angle_beta 90.00
_cell_angle_gamma 90.00
_symmetry_space_group_name_H-M 'C m c e'
_symmetry_Int_Tables_number 64
_symmetry_space_group_name_Hall '-C 2ac 2'
loop_
_atom_site_label
_atom_site_type_symbol
_atom_site_fract_x
_atom_site_fract_y
_atom_site_fract_z
_atom_site_occupancy
Ba1 Ba 0.0000 0.0316 0.1433 1
Ba2 Ba 0.0000 0.2371 0.3912 1
Sn1 Sn 0.0000 0.0000 0.5000 1
Sn2 Sn 0.0000 0.1354 0.6546 1
O1 O 0.0000 0.0319 0.3544 1
O2 O 0.0000 0.2182 0.1559 1
O3 O 0.2286 0.1107 0.5380 1
O4 O 0.2500 0.1158 0.7500 1
# - theoretical density (g/cm3) = 6.1
# - ΔH_f (0 K) (eV/atom) = -2.596
# - MP2020-corrected energy (eV/atom) = -6.665

---

[4]
# La4H9 | the Materials Project database | PBE | relaxed
data_La4H9
_cell_length_a 5.6132
_cell_length_b 5.6132
_cell_length_c 11.3153
_cell_angle_alpha 90.00
_cell_angle_beta 90.00
_cell_angle_gamma 90.00
_symmetry_space_group_name_H-M 'I 4/m m m'
_symmetry_Int_Tables_number 139
_symmetry_space_group_name_Hall '-I 4 2'
loop_
_atom_site_label
_atom_site_type_symbol
_atom_site_fract_x
_atom_site_fract_y
_atom_site_fract_z
_atom_site_occupancy
La1 La 0.0000 0.0000 0.2452 1
La2 La 0.0000 0.5000 0.0000 1
H1 H 0.0000 0.0000 0.0000 1
H2 H 0.2414 0.2414 0.3735 1
# - theoretical density (g/cm3) = 5.3
# - ΔH_f (0 K) (eV/atom) = -0.740
# - MP2020-corrected energy (eV/atom) = -4.607

---

[5]
# SrEuBiSbO6 | the Materials Project database | PBE | relaxed
data_SrEuBiSbO6
_cell_length_a 5.9220
_cell_length_b 6.1163
_cell_length_c 8.4941
_cell_angle_alpha 90.02
_cell_angle_beta 90.26
_cell_angle_gamma 90.09
_symmetry_space_group_name_H-M 'P -1'
_symmetry_Int_Tables_number 2
loop_
_symmetry_equiv_pos_as_xyz
'x,y,z'
'-x,-y,-z'
loop_
_atom_site_label
_atom_site_type_symbol
_atom_site_fract_x
_atom_site_fract_y
_atom_site_fract_z
_atom_site_occupancy
Sr1 Sr 0.0138 0.0533 0.2491 1
Eu1 Eu 0.4834 0.5548 0.2511 1
Bi1 Bi 0.0000 0.5000 0.5000 1
Bi2 Bi 0.5000 0.0000 0.0000 1
Sb1 Sb 0.0000 0.5000 0.0000 1
Sb2 Sb 0.5000 0.0000 0.5000 1
O1 O 0.1095 0.5336 0.7707 1
O2 O 0.1774 0.7781 0.0570 1
O3 O 0.2209 0.8149 0.4482 1
O4 O 0.2812 0.3166 0.0560 1
O5 O 0.3252 0.2827 0.4425 1
O6 O 0.3992 0.0407 0.7296 1
# - theoretical density (g/cm3) = 7.2
# - ΔH_f (0 K) (eV/atom) = -2.475
# - MP2020-corrected energy (eV/atom) = -7.440

---

[6]
# Ho3Er | the Materials Project database | PBE | relaxed
data_Ho3Er
_cell_length_a 7.1814
_cell_length_b 7.1814
_cell_length_c 5.6166
_cell_angle_alpha 90.00
_cell_angle_beta 90.00
_cell_angle_gamma 120.00
_symmetry_space_group_name_H-M 'P 63/m m c'
_symmetry_Int_Tables_number 194
_symmetry_space_group_name_Hall '-P 6c 2c'
loop_
_atom_site_label
_atom_site_type_symbol
_atom_site_fract_x
_atom_site_fract_y
_atom_site_fract_z
_atom_site_occupancy
Ho1 Ho 0.1668 0.3337 0.2500 1
Er1 Er 0.3333 0.6667 0.7500 1
# - theoretical density (g/cm3) = 8.8
# - ΔH_f (0 K) (eV/atom) = 0.011

---

[7]
# In5S5Br | the Materials Project database | PBE | relaxed
data_In5S5Br
_cell_length_a 4.0032
_cell_length_b 9.2382
_cell_length_c 15.1372
_cell_angle_alpha 90.00
_cell_angle_beta 90.00
_cell_angle_gamma 90.00
_symmetry_space_group_name_H-M 'P m n 21'
_symmetry_Int_Tables_number 31
loop_
_symmetry_equiv_pos_as_xyz
'x,y,z'
'-x+1/2,-y,z+1/2'
'-x,y,z'
'x+1/2,-y,z+1/2'
loop_
_atom_site_label
_atom_site_type_symbol
_atom_site_fract_x
_atom_site_fract_y
_atom_site_fract_z
_atom_site_occupancy
In1 In 0.0000 0.0204 0.0000 1
In2 In 0.0000 0.3149 0.0463 1
In3 In 0.0000 0.3872 0.6472 1
In4 In 0.0000 0.6399 0.8536 1
In5 In 0.0000 0.8936 0.2699 1
S1 S 0.0000 0.0652 0.4060 1
S2 S 0.0000 0.2709 0.8077 1
S3 S 0.0000 0.4404 0.1979 1
S4 S 0.0000 0.5287 0.4955 1
S5 S 0.0000 0.7985 0.1055 1
Br1 Br 0.0000 0.9029 0.7025 1
# - theoretical density (g/cm3) = 4.8
# - ΔH_f (0 K) (eV/atom) = -0.825
# - MP2020-corrected energy (eV/atom) = -4.105
# - maximum piezoelectric response (C/m²) = 0.4

---

[8]
# Tm3Fe4Ge4 | the Materials Project database | PBE | relaxed
data_Tm3Fe4Ge4
_cell_length_a 4.1337
_cell_length_b 6.7664
_cell_length_c 13.3793
_cell_angle_alpha 90.00
_cell_angle_beta 90.00
_cell_angle_gamma 90.00
_symmetry_space_group_name_H-M 'I m m m'
_symmetry_Int_Tables_number 71
_symmetry_space_group_name_Hall '-I 2 2'
loop_
_atom_site_label
_atom_site_type_symbol
_atom_site_fract_x
_atom_site_fract_y
_atom_site_fract_z
_atom_site_occupancy
Tm1 Tm 0.0000 0.0000 0.0000 1
Tm2 Tm 0.0000 0.5000 0.1269 1
Fe1 Fe 0.0000 0.3183 0.3237 1
Ge1 Ge 0.0000 0.0000 0.2221 1
Ge2 Ge 0.0000 0.1970 0.5000 1
# - theoretical density (g/cm3) = 9.1
# - ΔH_f (0 K) (eV/atom) = -0.493